Below is a relaxed Ho11Sn10 crystal, with properties calculated at the GGA-PBE level.

Structure (CIF):
```
data_Ho11Sn10
_symmetry_space_group_name_H-M 'P 1'
_symmetry_Int_Tables_number 1
_symmetry_space_group_name_Hall 'P 1'
_cell_length_a 11.820
_cell_length_b 11.820
_cell_length_c 11.820
_cell_angle_alpha 121.12
_cell_angle_beta 121.12
_cell_angle_gamma 88.06
loop_
_atom_site_label
_atom_site_type_symbol
_atom_site_fract_x
_atom_site_fract_y
_atom_site_fract_z
Ho1 Ho 0.811 0.064 0.252
Ho2 Ho 0.398 0.727 0.330
Ho3 Ho 0.559 0.811 0.748
Ho4 Ho 0.664 0.664 0.000
Sn1 Sn 0.750 0.250 0.500
Sn2 Sn 0.531 0.531 0.413
Sn3 Sn 0.000 0.356 0.356
Ho5 Ho 0.175 0.175 0.349
Sn4 Sn 0.888 0.888 0.000
Ho6 Ho 0.727 0.398 0.330
Sn5 Sn 0.629 0.629 0.258
Ho7 Ho 0.441 0.189 0.252
Sn6 Sn 0.469 0.882 0.000
Ho8 Ho 0.932 0.602 0.330
Ho9 Ho 0.336 0.336 0.000
Ho10 Ho 0.825 0.175 0.000
Ho11 Ho 0.273 0.602 0.670
Sn7 Sn 0.629 0.371 0.000
Sn8 Sn 0.882 0.469 0.000
Ho12 Ho 0.175 0.825 0.000
Sn9 Sn 0.644 0.000 0.644
Ho13 Ho 0.398 0.068 0.670
Ho14 Ho 0.064 0.811 0.252
Ho15 Ho 0.825 0.825 0.651
Sn10 Sn 0.112 0.112 0.000
Sn11 Sn 0.118 0.118 0.587
Sn12 Sn 0.250 0.750 0.500
Sn13 Sn 0.118 0.531 0.000
Sn14 Sn 0.356 0.000 0.356
Sn15 Sn 0.469 0.469 0.587
Ho16 Ho 0.602 0.273 0.670
Ho17 Ho 0.811 0.559 0.748
Ho18 Ho 0.602 0.932 0.330
Sn16 Sn 0.882 0.882 0.413
Sn17 Sn 0.000 0.644 0.644
Ho19 Ho 0.189 0.936 0.748
Ho20 Ho 0.068 0.398 0.670
Sn18 Sn 0.371 0.371 0.742
Sn19 Sn 0.531 0.118 0.000
Sn20 Sn 0.371 0.629 0.000
Ho21 Ho 0.189 0.441 0.252
Ho22 Ho 0.936 0.189 0.748
```

Theoretical density ... 8.69 Mg/m³
Uncorrected energy ... -5.03 eV/atom
V ... 27.311 Å³/atom
Formation enthalpy at 0 K ... -0.721 eV per atom

Below is a relaxed YMgSbPb2O6 crystal, with properties calculated at the GGA-PBE level.

Structure (CIF):
```
data_YMgSbPb2O6
_symmetry_space_group_name_H-M 'P 1'
_symmetry_Int_Tables_number 1
_symmetry_space_group_name_Hall 'P 1'
_cell_length_a 6.454
_cell_length_b 6.405
_cell_length_c 5.950
_cell_angle_alpha 58.41
_cell_angle_beta 57.15
_cell_angle_gamma 59.74
loop_
_atom_site_label
_atom_site_type_symbol
_atom_site_fract_x
_atom_site_fract_y
_atom_site_fract_z
O1 O 0.262 0.679 0.797
Pb1 Pb 0.175 0.358 0.291
O2 O 0.727 0.235 0.737
O3 O 0.738 0.321 0.203
O4 O 0.300 0.235 0.737
Mg1 Mg 0.500 0.000 0.000
O5 O 0.273 0.765 0.263
Pb2 Pb 0.825 0.642 0.709
Sb1 Sb 0.500 0.500 0.500
Y1 Y 0.000 0.000 0.000
O6 O 0.700 0.765 0.263
```

Theoretical density ... 7.39 Mg/m³
Uncorrected energy ... -6.10 eV/atom
V ... 15.228 Å³/atom
Formation enthalpy at 0 K ... -1.992 eV per atom
Corrected total energy (MP2020 scheme) ... -6.4749 eV per atom
Distance to the lowest polymorph of the same formula ... 2.03 eV/f.u.

Below is a relaxed Sr3Nd4O9 crystal, with properties calculated at the GGA-PBE level.

Structure (CIF):
```
data_Sr3Nd4O9
_symmetry_space_group_name_H-M 'P 1'
_symmetry_Int_Tables_number 1
_symmetry_space_group_name_Hall 'P 1'
_cell_length_a 8.668
_cell_length_b 7.111
_cell_length_c 10.056
_cell_angle_alpha 99.70
_cell_angle_beta 96.86
_cell_angle_gamma 107.93
loop_
_atom_site_label
_atom_site_type_symbol
_atom_site_fract_x
_atom_site_fract_y
_atom_site_fract_z
O1 O 0.343 0.681 0.787
Sr1 Sr 0.264 0.743 0.021
Nd1 Nd 0.024 0.047 0.966
O2 O 0.198 0.094 0.753
O3 O 0.107 0.391 0.974
Nd2 Nd 0.697 0.378 0.569
Sr2 Sr 0.974 0.407 0.332
Sr3 Sr 0.875 0.008 0.565
O4 O 0.270 0.566 0.418
O5 O 0.494 0.712 0.175
O6 O 0.351 0.131 0.092
O7 O 0.605 0.012 0.612
O8 O 0.896 0.766 0.743
Nd3 Nd 0.841 0.789 0.233
O9 O 0.412 0.204 0.444
Nd4 Nd 0.418 0.409 0.290
O10 O 0.713 0.112 0.370
O11 O 0.732 0.440 0.121
Sr4 Sr 0.408 0.358 0.934
O12 O 0.758 0.071 0.910
O13 O 0.643 0.620 0.457
Sr5 Sr 0.638 0.085 0.120
O14 O 0.012 0.800 0.429
Nd5 Nd 0.131 0.761 0.648
Nd6 Nd 0.848 0.436 0.926
O15 O 0.994 0.749 0.057
O16 O 0.937 0.099 0.177
Nd7 Nd 0.455 0.898 0.398
O17 O 0.603 0.451 0.776
Nd8 Nd 0.612 0.792 0.749
Sr6 Sr 0.267 0.343 0.611
O18 O 0.980 0.393 0.589
```

Theoretical density ... 5.72 Mg/m³
Uncorrected energy ... -7.21 eV/atom
V ... 17.860 Å³/atom
Formation enthalpy at 0 K ... -3.299 eV per atom
Corrected total energy (MP2020 scheme) ... -7.5915 eV per atom
Distance to the lowest polymorph of the same formula ... 2.53 eV/f.u.

Below is a relaxed Zn3SbAs2Pb3O14 crystal, with properties calculated at the GGA-PBE level.

Structure (CIF):
```
data_Zn3SbAs2Pb3O14
_symmetry_space_group_name_H-M 'P 1'
_symmetry_Int_Tables_number 1
_symmetry_space_group_name_Hall 'P 1'
_cell_length_a 8.677
_cell_length_b 8.677
_cell_length_c 5.380
_cell_angle_alpha 90.00
_cell_angle_beta 90.00
_cell_angle_gamma 120.00
loop_
_atom_site_label
_atom_site_type_symbol
_atom_site_fract_x
_atom_site_fract_y
_atom_site_fract_z
O1 O 0.459 0.196 0.333
O2 O 0.908 0.783 0.786
Zn1 Zn 0.763 0.763 0.500
As1 As 0.333 0.667 0.538
Pb1 Pb 0.000 0.605 0.000
Pb2 Pb 0.605 0.000 0.000
O3 O 0.804 0.262 0.333
As2 As 0.667 0.333 0.462
O4 O 0.667 0.333 0.781
O5 O 0.217 0.125 0.786
Zn2 Zn 0.237 0.000 0.500
O6 O 0.738 0.541 0.333
Sb1 Sb 0.000 0.000 0.000
O7 O 0.125 0.217 0.214
O8 O 0.541 0.738 0.667
O9 O 0.196 0.459 0.667
O10 O 0.783 0.908 0.214
Pb3 Pb 0.395 0.395 0.000
O11 O 0.333 0.667 0.219
Zn3 Zn 0.000 0.237 0.500
O12 O 0.092 0.875 0.214
O13 O 0.262 0.804 0.667
O14 O 0.875 0.092 0.786
```

Theoretical density ... 6.22 Mg/m³
Uncorrected energy ... -5.56 eV/atom
V ... 15.252 Å³/atom
Formation enthalpy at 0 K ... -1.733 eV per atom
Corrected total energy (MP2020 scheme) ... -5.9780 eV per atom

Below is a relaxed LaGaNi4 crystal, with properties calculated at the GGA-PBE level.

Structure (CIF):
```
data_LaGaNi4
_symmetry_space_group_name_H-M 'P 1'
_symmetry_Int_Tables_number 1
_symmetry_space_group_name_Hall 'P 1'
_cell_length_a 5.180
_cell_length_b 5.180
_cell_length_c 3.880
_cell_angle_alpha 90.00
_cell_angle_beta 90.00
_cell_angle_gamma 120.00
loop_
_atom_site_label
_atom_site_type_symbol
_atom_site_fract_x
_atom_site_fract_y
_atom_site_fract_z
Ni1 Ni 0.503 0.006 0.500
La1 La 0.000 0.000 0.000
Ni2 Ni 0.994 0.497 0.500
Ni3 Ni 0.503 0.497 0.500
Ga1 Ga 0.333 0.667 0.000
Ni4 Ni 0.667 0.333 0.000
```

Theoretical density ... 8.17 Mg/m³
Uncorrected energy ... -5.60 eV/atom
V ... 15.025 Å³/atom
Formation enthalpy at 0 K ... -0.415 eV per atom

Below is a relaxed BaCa2I6 crystal, with properties calculated at the GGA-PBE level.

Structure (CIF):
```
data_BaCa2I6
_symmetry_space_group_name_H-M 'P 1'
_symmetry_Int_Tables_number 1
_symmetry_space_group_name_Hall 'P 1'
_cell_length_a 8.038
_cell_length_b 8.038
_cell_length_c 7.641
_cell_angle_alpha 90.00
_cell_angle_beta 90.00
_cell_angle_gamma 120.00
loop_
_atom_site_label
_atom_site_type_symbol
_atom_site_fract_x
_atom_site_fract_y
_atom_site_fract_z
I1 I 0.647 0.647 0.267
I2 I 0.000 0.353 0.267
I3 I 0.647 0.000 0.733
Ca1 Ca 0.667 0.333 0.500
I4 I 0.353 0.000 0.267
Ca2 Ca 0.333 0.667 0.500
Ba1 Ba 0.000 0.000 0.000
I5 I 0.000 0.647 0.733
I6 I 0.353 0.353 0.733
```

Theoretical density ... 3.80 Mg/m³
Uncorrected energy ... -3.34 eV/atom
V ... 47.501 Å³/atom
Formation enthalpy at 0 K ... -1.917 eV per atom
Corrected total energy (MP2020 scheme) ... -3.5922 eV per atom
Distance to the lowest polymorph of the same formula ... 0.00 eV/f.u.

Which value of formation enthalpy at 0 K does entry 2 give?
-1.992 eV per atom

Among the records above, which one has the highest V?
BaCa2I6

What did the second record say?
Below is a relaxed YMgSbPb2O6 crystal, with properties calculated at the GGA-PBE level.

Structure (CIF):
```
data_YMgSbPb2O6
_symmetry_space_group_name_H-M 'P 1'
_symmetry_Int_Tables_number 1
_symmetry_space_group_name_Hall 'P 1'
_cell_length_a 6.454
_cell_length_b 6.405
_cell_length_c 5.950
_cell_angle_alpha 58.41
_cell_angle_beta 57.15
_cell_angle_gamma 59.74
loop_
_atom_site_label
_atom_site_type_symbol
_atom_site_fract_x
_atom_site_fract_y
_atom_site_fract_z
O1 O 0.262 0.679 0.797
Pb1 Pb 0.175 0.358 0.291
O2 O 0.727 0.235 0.737
O3 O 0.738 0.321 0.203
O4 O 0.300 0.235 0.737
Mg1 Mg 0.500 0.000 0.000
O5 O 0.273 0.765 0.263
Pb2 Pb 0.825 0.642 0.709
Sb1 Sb 0.500 0.500 0.500
Y1 Y 0.000 0.000 0.000
O6 O 0.700 0.765 0.263
```

Theoretical density ... 7.39 Mg/m³
Uncorrected energy ... -6.10 eV/atom
V ... 15.228 Å³/atom
Formation enthalpy at 0 K ... -1.992 eV per atom
Corrected total energy (MP2020 scheme) ... -6.4749 eV per atom
Distance to the lowest polymorph of the same formula ... 2.03 eV/f.u.